Record 1
Below is a geometry-optimized Sc2TlC structure, with properties calculated at the r2SCAN level.

abc: 3.371 3.371 15.223
angles: 90.00 90.00 120.00
Fractional positions:
Sc 0.333 0.667 0.080
Sc 0.333 0.667 0.420
Sc 0.667 0.333 0.580
Sc 0.667 0.333 0.920
Tl 0.333 0.667 0.750
Tl 0.667 0.333 0.250
C 0.000 0.000 0.000
C 0.000 0.000 0.500

Output
Symmetry: P6_3/mmc
Formation enthalpy at 0 K, eV/atom: -0.622
Total magnetic moment, μB per formula unit: 0.00



Record 2
Below is a geometry-optimized K2PdF4 structure, with properties calculated at the r2SCAN level.

abc: 5.576 5.576 4.263
angles: 90.92 90.92 64.21
Fractional positions:
K 0.151 0.151 0.220
K 0.849 0.849 0.780
Pd 0.500 0.500 0.500
F 0.153 0.630 0.278
F 0.370 0.847 0.722
F 0.630 0.153 0.278
F 0.847 0.370 0.722

Output
Symmetry: C2/m
Formation enthalpy at 0 K, eV/atom: -2.369
Total magnetic moment, μB per formula unit: 0.00



Record 3
Below is a geometry-optimized Ce2Co3Ge5 structure, with properties calculated at the r2SCAN level.

abc: 8.154 8.154 8.154
angles: 137.78 88.27 106.84
Fractional positions:
Ce 0.133 0.250 0.383
Ce 0.392 0.774 0.117
Ce 0.657 0.274 0.883
Ce 0.867 0.750 0.617
Co 0.008 0.622 0.886
Co 0.260 0.260 0.000
Co 0.260 0.760 0.500
Co 0.513 0.400 0.613
Co 0.736 0.122 0.114
Co 0.788 0.900 0.387
Ge 0.005 0.355 0.150
Ge 0.026 0.261 0.763
Ge 0.026 0.763 0.264
Ge 0.206 0.855 0.850
Ge 0.317 0.166 0.650
Ge 0.498 0.263 0.237
Ge 0.498 0.761 0.736
Ge 0.516 0.666 0.350
Ge 0.762 0.262 0.500
Ge 0.762 0.762 0.000

Output
Symmetry: Ima2
Formation enthalpy at 0 K, eV/atom: -0.558
Total magnetic moment, μB per formula unit: 0.07



| no. | calculated volume (A^3/atom) |
| --- | --- |
| 1 | 18.7 |
| 2 | 17.0 |
| 3 | 16.7 |